This record from the Materials Project database describes a relaxed structure of AlCr2O4. The functional is PBE+U.

Properties
As for the space-group type: No. 227. As for the formation energy: -57.4 kcal/mol of atoms.

The structure in CIF format:
```
data_AlCr2O4
_symmetry_space_group_name_H-M 'P 1'
_symmetry_Int_Tables_number 1
_cell_length_a 5.9403
_cell_length_b 5.9403
_cell_length_c 5.9403
_cell_angle_alpha 60.00
_cell_angle_beta 60.00
_cell_angle_gamma 60.00
loop_
_symmetry_equiv_pos_as_xyz
'x,y,z'
loop_
_atom_site_label
_atom_site_type_symbol
_atom_site_fract_x
_atom_site_fract_y
_atom_site_fract_z
O1 O 0.3749 0.3749 0.3749
O2 O 0.3749 0.3749 0.8753
O3 O 0.8751 0.8751 0.3747
O4 O 0.8751 0.8751 0.8751
O5 O 0.8753 0.3749 0.3749
O6 O 0.3747 0.8751 0.8751
O7 O 0.8751 0.3747 0.8751
O8 O 0.3749 0.8753 0.3749
Cr1 Cr 0.6250 0.1250 0.6250
Cr2 Cr 0.6250 0.6250 0.1250
Cr3 Cr 0.1250 0.6250 0.6250
Cr4 Cr 0.6250 0.6250 0.6250
Al1 Al 0.0000 0.0000 0.0000
Al2 Al 0.2500 0.2500 0.2500
```

---

This record from the Materials Project database describes a relaxed structure of AlCr3O8. The functional is PBE+U.

Properties
As for the space-group type: No. 166. As for the formation energy: -45.5 kcal/mol of atoms.

The structure in CIF format:
```
data_AlCr3O8
_symmetry_space_group_name_H-M 'P 1'
_symmetry_Int_Tables_number 1
_cell_length_a 5.8334
_cell_length_b 5.8334
_cell_length_c 5.8334
_cell_angle_alpha 60.48
_cell_angle_beta 60.48
_cell_angle_gamma 60.48
loop_
_symmetry_equiv_pos_as_xyz
'x,y,z'
loop_
_atom_site_label
_atom_site_type_symbol
_atom_site_fract_x
_atom_site_fract_y
_atom_site_fract_z
O1 O 0.2683 0.6958 0.2683
O2 O 0.3042 0.7317 0.7317
O3 O 0.6958 0.2683 0.2683
O4 O 0.2650 0.2650 0.2650
O5 O 0.7317 0.7317 0.3042
O6 O 0.7317 0.3042 0.7317
O7 O 0.2683 0.2683 0.6958
O8 O 0.7350 0.7350 0.7350
Cr1 Cr 0.5000 0.0000 0.5000
Cr2 Cr 0.5000 0.5000 0.0000
Cr3 Cr 0.0000 0.5000 0.5000
Al1 Al 0.5000 0.5000 0.5000
```

---

This record from the Materials Project database describes a relaxed structure of Al4Cr13Si2Sb2O28. The functional is PBE+U.

Properties
As for the space-group type: No. 12. As for the formation energy: -55.5 kcal/mol of atoms.

The structure in CIF format:
```
data_Al4Cr13Si2Sb2O28
_symmetry_space_group_name_H-M 'P 1'
_symmetry_Int_Tables_number 1
_cell_length_a 12.1096
_cell_length_b 12.1096
_cell_length_c 8.6907
_cell_angle_alpha 87.34
_cell_angle_beta 87.34
_cell_angle_gamma 152.50
loop_
_symmetry_equiv_pos_as_xyz
'x,y,z'
loop_
_atom_site_label
_atom_site_type_symbol
_atom_site_fract_x
_atom_site_fract_y
_atom_site_fract_z
O1 O 0.7129 0.8525 0.1087
O2 O 0.5268 0.8118 0.8781
O3 O 0.9958 0.5550 0.1213
O4 O 0.1715 0.6241 0.3741
O5 O 0.1475 0.2871 0.8913
O6 O 0.7382 0.6193 0.5988
O7 O 0.6193 0.7382 0.5988
O8 O 0.2871 0.1475 0.8913
O9 O 0.8118 0.5268 0.8781
O10 O 0.8525 0.7129 0.1087
O11 O 0.4450 0.0042 0.8787
O12 O 0.0312 0.3370 0.6069
O13 O 0.4732 0.1882 0.1219
O14 O 0.2618 0.3807 0.4012
O15 O 0.9688 0.6630 0.3931
O16 O 0.8285 0.3759 0.6259
O17 O 0.3545 0.3545 0.1309
O18 O 0.6630 0.9688 0.3931
O19 O 0.5550 0.9958 0.1213
O20 O 0.0042 0.4450 0.8787
O21 O 0.9511 0.9511 0.3356
O22 O 0.6241 0.1715 0.3741
O23 O 0.6455 0.6455 0.8691
O24 O 0.3807 0.2618 0.4012
O25 O 0.1882 0.4732 0.1219
O26 O 0.3759 0.8285 0.6259
O27 O 0.0489 0.0489 0.6644
O28 O 0.3370 0.0312 0.6069
Cr1 Cr 0.1934 0.3318 0.6503
Cr2 Cr 0.7150 0.2850 0.0000
Cr3 Cr 0.5736 0.4264 0.0000
Cr4 Cr 0.1055 0.3940 0.3632
Cr5 Cr 0.8945 0.6060 0.6368
Cr6 Cr 0.3940 0.1055 0.3632
Cr7 Cr 0.2850 0.7150 0.0000
Cr8 Cr 0.6682 0.8066 0.3497
Cr9 Cr 0.6060 0.8945 0.6368
Cr10 Cr 0.8066 0.6682 0.3497
Cr11 Cr 0.3318 0.1934 0.6503
Cr12 Cr 0.0000 0.0000 0.0000
Cr13 Cr 0.4264 0.5736 0.0000
Al1 Al 0.5099 0.0717 0.6652
Al2 Al 0.0717 0.5099 0.6652
Al3 Al 0.9283 0.4901 0.3348
Al4 Al 0.4901 0.9283 0.3348
Sb1 Sb 0.8599 0.1401 0.0000
Sb2 Sb 0.1401 0.8599 0.0000
Si1 Si 0.2367 0.2367 0.3208
Si2 Si 0.7633 0.7633 0.6792
```

---

This record from the Materials Project database describes a relaxed structure of Al2Cr3Si3O12. The functional is PBE+U.

Properties
As for the space-group type: No. 230. As for the formation energy: -65.8 kcal/mol of atoms.

The structure in CIF format:
```
data_Al2Cr3Si3O12
_symmetry_space_group_name_H-M 'P 1'
_symmetry_Int_Tables_number 1
_cell_length_a 10.1775
_cell_length_b 10.1775
_cell_length_c 10.1775
_cell_angle_alpha 109.47
_cell_angle_beta 109.47
_cell_angle_gamma 109.47
loop_
_symmetry_equiv_pos_as_xyz
'x,y,z'
loop_
_atom_site_label
_atom_site_type_symbol
_atom_site_fract_x
_atom_site_fract_y
_atom_site_fract_z
O1 O 0.0118 0.1976 0.1208
O2 O 0.1090 0.6208 0.4231
O3 O 0.8910 0.3792 0.5769
O4 O 0.8024 0.8792 0.9882
O5 O 0.6208 0.6976 0.5118
O6 O 0.6090 0.1859 0.4882
O7 O 0.6859 0.0769 0.6976
O8 O 0.0769 0.6976 0.6859
O9 O 0.3141 0.9231 0.3024
O10 O 0.6208 0.4231 0.1090
O11 O 0.9882 0.6859 0.1090
O12 O 0.1090 0.9882 0.6859
O13 O 0.8910 0.0118 0.3141
O14 O 0.8024 0.4231 0.8141
O15 O 0.5769 0.8910 0.3792
O16 O 0.8141 0.8024 0.4231
O17 O 0.9882 0.8024 0.8792
O18 O 0.6859 0.1090 0.9882
O19 O 0.3792 0.3024 0.4882
O20 O 0.3792 0.5769 0.8910
O21 O 0.3024 0.4882 0.3792
O22 O 0.8141 0.5118 0.3910
O23 O 0.1208 0.6090 0.9231
O24 O 0.1859 0.1976 0.5769
O25 O 0.1859 0.4882 0.6090
O26 O 0.6090 0.9231 0.1208
O27 O 0.8792 0.9882 0.8024
O28 O 0.1976 0.5769 0.1859
O29 O 0.5769 0.1859 0.1976
O30 O 0.1976 0.1208 0.0118
O31 O 0.6976 0.6859 0.0769
O32 O 0.0769 0.8792 0.3910
O33 O 0.9231 0.3024 0.3141
O34 O 0.3910 0.0769 0.8792
O35 O 0.3141 0.8910 0.0118
O36 O 0.4882 0.6090 0.1859
O37 O 0.6976 0.5118 0.6208
O38 O 0.9231 0.1208 0.6090
O39 O 0.0118 0.3141 0.8910
O40 O 0.5118 0.3910 0.8141
O41 O 0.3024 0.3141 0.9231
O42 O 0.4231 0.8141 0.8024
O43 O 0.4231 0.1090 0.6208
O44 O 0.5118 0.6208 0.6976
O45 O 0.3910 0.8141 0.5118
O46 O 0.8792 0.3910 0.0769
O47 O 0.4882 0.3792 0.3024
O48 O 0.1208 0.0118 0.1976
Cr1 Cr 0.7500 0.6250 0.8750
Cr2 Cr 0.1250 0.3750 0.7500
Cr3 Cr 0.6250 0.8750 0.7500
Cr4 Cr 0.2500 0.3750 0.1250
Cr5 Cr 0.8750 0.6250 0.2500
Cr6 Cr 0.3750 0.7500 0.1250
Cr7 Cr 0.2500 0.8750 0.6250
Cr8 Cr 0.1250 0.2500 0.3750
Cr9 Cr 0.6250 0.2500 0.8750
Cr10 Cr 0.7500 0.1250 0.3750
Cr11 Cr 0.3750 0.1250 0.2500
Cr12 Cr 0.8750 0.7500 0.6250
Si1 Si 0.7500 0.3750 0.6250
Si2 Si 0.1250 0.8750 0.2500
Si3 Si 0.2500 0.1250 0.8750
Si4 Si 0.7500 0.8750 0.1250
Si5 Si 0.1250 0.7500 0.8750
Si6 Si 0.3750 0.6250 0.7500
Si7 Si 0.6250 0.7500 0.3750
Si8 Si 0.6250 0.3750 0.2500
Si9 Si 0.8750 0.2500 0.1250
Si10 Si 0.8750 0.1250 0.7500
Si11 Si 0.2500 0.6250 0.3750
Si12 Si 0.3750 0.2500 0.6250
Al1 Al 0.5000 0.0000 0.0000
Al2 Al 0.0000 0.5000 0.0000
Al3 Al 0.5000 0.0000 0.5000
Al4 Al 0.5000 0.5000 0.5000
Al5 Al 0.0000 0.0000 0.0000
Al6 Al 0.0000 0.5000 0.5000
Al7 Al 0.5000 0.5000 0.0000
Al8 Al 0.0000 0.0000 0.5000
```

---

This record from the Materials Project database describes a relaxed structure of Sr4Al6CrO16. The functional is PBE+U.

Properties
As for the space-group type: No. 33. As for the formation energy: -75.0 kcal/mol of atoms.

The structure in CIF format:
```
data_Sr4Al6CrO16
_symmetry_space_group_name_H-M 'P 1'
_symmetry_Int_Tables_number 1
_cell_length_a 9.5866
_cell_length_b 13.4439
_cell_length_c 13.4774
_cell_angle_alpha 90.00
_cell_angle_beta 90.00
_cell_angle_gamma 90.00
loop_
_symmetry_equiv_pos_as_xyz
'x,y,z'
loop_
_atom_site_label
_atom_site_type_symbol
_atom_site_fract_x
_atom_site_fract_y
_atom_site_fract_z
O1 O 0.2744 0.9892 0.6622
O2 O 0.1044 0.6580 0.8306
O3 O 0.0742 0.1372 0.6771
O4 O 0.2360 0.3277 0.9999
O5 O 0.4230 0.8175 0.6668
O6 O 0.7723 0.6459 0.4986
O7 O 0.3862 0.4529 0.6095
O8 O 0.5770 0.3175 0.3332
O9 O 0.7945 0.4044 0.0715
O10 O 0.6105 0.3128 0.6862
O11 O 0.2945 0.4044 0.4285
O12 O 0.6039 0.8184 0.8272
O13 O 0.3855 0.1819 0.6689
O14 O 0.1138 0.9529 0.1095
O15 O 0.2277 0.1459 0.5014
O16 O 0.3860 0.5891 0.4585
O17 O 0.2256 0.4892 0.1622
O18 O 0.0787 0.1578 0.3281
O19 O 0.6138 0.9529 0.3905
O20 O 0.4213 0.6578 0.8281
O21 O 0.1105 0.3128 0.8138
O22 O 0.8855 0.1819 0.8311
O23 O 0.2723 0.6459 0.0014
O24 O 0.9213 0.6578 0.6719
O25 O 0.9258 0.6372 0.3229
O26 O 0.5787 0.1578 0.1719
O27 O 0.6405 0.5349 0.9514
O28 O 0.8862 0.4529 0.8905
O29 O 0.1405 0.5349 0.5486
O30 O 0.9257 0.3138 0.6536
O31 O 0.1140 0.0891 0.9585
O32 O 0.8595 0.0349 0.4514
O33 O 0.8860 0.5891 0.0415
O34 O 0.8961 0.3184 0.3272
O35 O 0.6044 0.6580 0.6694
O36 O 0.7360 0.3277 0.5001
O37 O 0.7744 0.9892 0.8378
O38 O 0.8895 0.8128 0.1862
O39 O 0.1145 0.6819 0.1689
O40 O 0.8956 0.1580 0.1694
O41 O 0.2355 0.9861 0.3401
O42 O 0.3961 0.3184 0.1728
O43 O 0.3595 0.0349 0.0486
O44 O 0.6140 0.0891 0.5415
O45 O 0.9230 0.8175 0.8332
O46 O 0.0743 0.8138 0.3464
O47 O 0.2645 0.4861 0.8401
O48 O 0.4258 0.6372 0.1771
O49 O 0.2055 0.9044 0.9285
O50 O 0.4257 0.3138 0.8464
O51 O 0.3895 0.8128 0.3138
O52 O 0.1039 0.8184 0.6728
O53 O 0.5742 0.1372 0.8229
O54 O 0.6145 0.6819 0.3311
O55 O 0.0770 0.3175 0.1668
O56 O 0.3956 0.1580 0.3306
O57 O 0.7256 0.4892 0.3378
O58 O 0.7645 0.4861 0.6599
O59 O 0.7355 0.9861 0.1599
O60 O 0.7277 0.1459 0.9986
O61 O 0.2640 0.8277 0.4999
O62 O 0.5743 0.8138 0.1536
O63 O 0.7640 0.8277 0.0001
O64 O 0.7055 0.9044 0.5715
Cr1 Cr 0.2004 0.9959 0.0126
Cr2 Cr 0.2996 0.4959 0.5126
Cr3 Cr 0.7996 0.4959 0.9874
Cr4 Cr 0.7004 0.9959 0.4874
Al1 Al 0.5117 0.7379 0.7478
Al2 Al 0.4883 0.2379 0.2522
Al3 Al 0.5009 0.7361 0.2453
Al4 Al 0.0009 0.7361 0.2547
Al5 Al 0.2616 0.8637 0.6252
Al6 Al 0.2623 0.6119 0.8754
Al7 Al 0.9883 0.2379 0.2478
Al8 Al 0.7419 0.1135 0.8725
Al9 Al 0.2425 0.8602 0.3744
Al10 Al 0.2377 0.1119 0.3754
Al11 Al 0.9991 0.2361 0.7453
Al12 Al 0.7623 0.6119 0.6246
Al13 Al 0.2575 0.3602 0.8744
Al14 Al 0.2581 0.6135 0.1275
Al15 Al 0.7377 0.1119 0.1246
Al16 Al 0.7575 0.3602 0.6256
Al17 Al 0.4991 0.2361 0.7547
Al18 Al 0.7384 0.3637 0.3748
Al19 Al 0.0117 0.7379 0.7522
Al20 Al 0.2384 0.3637 0.1252
Al21 Al 0.7425 0.8602 0.1256
Al22 Al 0.7581 0.6135 0.3725
Al23 Al 0.7616 0.8637 0.8748
Al24 Al 0.2419 0.1135 0.6275
Sr1 Sr 0.9673 0.2087 0.4949
Sr2 Sr 0.5408 0.9845 0.7132
Sr3 Sr 0.4743 0.2547 0.5054
Sr4 Sr 0.9743 0.2547 0.9946
Sr5 Sr 0.5286 0.4857 0.7678
Sr6 Sr 0.4592 0.4845 0.2868
Sr7 Sr 0.0257 0.7547 0.0054
Sr8 Sr 0.5257 0.7547 0.4946
Sr9 Sr 0.0327 0.7087 0.5051
Sr10 Sr 0.9592 0.4845 0.2132
Sr11 Sr 0.9714 0.9857 0.2678
Sr12 Sr 0.4714 0.9857 0.2322
Sr13 Sr 0.5327 0.7087 0.9949
Sr14 Sr 0.0408 0.9845 0.7868
Sr15 Sr 0.0286 0.4857 0.7322
Sr16 Sr 0.4673 0.2087 0.0051
```

---

Number 1: calculated volume 10.6 Å³ per atom. Number 2: calculated volume 11.8 Å³ per atom. Number 3: calculated volume 11.8 Å³ per atom. Number 4: calculated volume 10.1 Å³ per atom. Number 5: calculated volume 16.1 Å³ per atom.